No. 1
A plane-wave DFT calculation with PBE was carried out for an optimized crystal structure of Nd2MgTl.

CIF file:
```
data_Nd2MgTl
_cell_length_a 5.509
_cell_length_b 5.509
_cell_length_c 5.509
_cell_angle_alpha 60.00
_cell_angle_beta 60.00
_cell_angle_gamma 60.00
_space_group_name_H-M_alt 'P 1'
_space_group_IT_number 1
loop_
_space_group_symop_operation_xyz
'x,y,z'
loop_
_atom_site_label
_atom_site_fract_x
_atom_site_fract_y
_atom_site_fract_z
Nd1 0.250 0.250 0.250
Nd2 0.750 0.750 0.750
Mg1 0.500 0.500 0.500
Tl1 0.000 0.000 0.000
```

Computed properties:
**Crystal system**: cubic
**Energy of formation**: -0.2597 eV/atom

---

No. 2
A plane-wave DFT calculation with PBE was carried out for an optimized crystal structure of NdMgTl2.

CIF file:
```
data_NdMgTl2
_cell_length_a 5.370
_cell_length_b 5.370
_cell_length_c 5.370
_cell_angle_alpha 60.00
_cell_angle_beta 60.00
_cell_angle_gamma 60.00
_space_group_name_H-M_alt 'P 1'
_space_group_IT_number 1
loop_
_space_group_symop_operation_xyz
'x,y,z'
loop_
_atom_site_label
_atom_site_fract_x
_atom_site_fract_y
_atom_site_fract_z
Nd1 0.000 0.000 0.000
Mg1 0.500 0.500 0.500
Tl1 0.250 0.250 0.250
Tl2 0.750 0.750 0.750
```

Computed properties:
**Spin magnetization**: 0.00 μB per formula unit
**Crystal system**: cubic
**Energy of formation**: -0.2508 eV/atom

---

No. 3
A plane-wave DFT calculation with PBE was carried out for an optimized crystal structure of NdMgZn2.

CIF file:
```
data_NdMgZn2
_cell_length_a 4.952
_cell_length_b 4.952
_cell_length_c 4.952
_cell_angle_alpha 60.00
_cell_angle_beta 60.00
_cell_angle_gamma 60.00
_space_group_name_H-M_alt 'P 1'
_space_group_IT_number 1
loop_
_space_group_symop_operation_xyz
'x,y,z'
loop_
_atom_site_label
_atom_site_fract_x
_atom_site_fract_y
_atom_site_fract_z
Nd1 0.000 0.000 0.000
Mg1 0.500 0.500 0.500
Zn1 0.250 0.250 0.250
Zn2 0.750 0.750 0.750
```

Computed properties:
**Crystal system**: cubic
**Energy of formation**: -0.3462 eV/atom

---

No. 4
A plane-wave DFT calculation with PBE was carried out for an optimized crystal structure of MgNi.

CIF file:
```
data_MgNi
_cell_length_a 4.954
_cell_length_b 4.954
_cell_length_c 4.954
_cell_angle_alpha 60.60
_cell_angle_beta 60.60
_cell_angle_gamma 60.60
_space_group_name_H-M_alt 'P 1'
_space_group_IT_number 1
loop_
_space_group_symop_operation_xyz
'x,y,z'
loop_
_atom_site_label
_atom_site_fract_x
_atom_site_fract_y
_atom_site_fract_z
Mg1 0.000 0.000 0.000
Mg2 0.380 0.380 0.380
Mg3 0.620 0.620 0.620
Ni1 0.000 0.500 0.000
Ni2 0.000 0.000 0.500
Ni3 0.500 0.000 0.000
```

Computed properties:
**Crystal system**: trigonal
**Energy of formation**: -0.1386 eV/atom

---

No. 5
A plane-wave DFT calculation with PBE was carried out for an optimized crystal structure of MgNi2.

CIF file:
```
data_MgNi2
_cell_length_a 5.205
_cell_length_b 5.205
_cell_length_c 5.205
_cell_angle_alpha 148.46
_cell_angle_beta 148.46
_cell_angle_gamma 45.20
_space_group_name_H-M_alt 'P 1'
_space_group_IT_number 1
loop_
_space_group_symop_operation_xyz
'x,y,z'
loop_
_atom_site_label
_atom_site_fract_x
_atom_site_fract_y
_atom_site_fract_z
Mg1 0.000 0.000 0.000
Ni1 0.322 0.322 0.000
Ni2 0.678 0.678 0.000
```

Computed properties:
**Spin magnetization**: 0.01 μB per formula unit
**Crystal system**: tetragonal
**Energy of formation**: -0.0416 eV/atom

---

No. 6
A plane-wave DFT calculation with PBE was carried out for an optimized crystal structure of Mg2Ni.

CIF file:
```
data_Mg2Ni
_cell_length_a 5.133
_cell_length_b 5.133
_cell_length_c 5.133
_cell_angle_alpha 105.41
_cell_angle_beta 105.41
_cell_angle_gamma 117.93
_space_group_name_H-M_alt 'P 1'
_space_group_IT_number 1
loop_
_space_group_symop_operation_xyz
'x,y,z'
loop_
_atom_site_label
_atom_site_fract_x
_atom_site_fract_y
_atom_site_fract_z
Mg1 0.677 0.823 0.500
Mg2 0.323 0.177 0.500
Mg3 0.177 0.677 0.853
Mg4 0.823 0.323 0.147
Ni1 0.250 0.250 0.000
Ni2 0.750 0.750 0.000
```

Computed properties:
**Crystal system**: tetragonal
**Energy of formation**: -0.1720 eV/atom

---

No. 7
A plane-wave DFT calculation with PBE was carried out for an optimized crystal structure of MgNi3.

CIF file:
```
data_MgNi3
_cell_length_a 4.449
_cell_length_b 4.449
_cell_length_c 4.449
_cell_angle_alpha 131.36
_cell_angle_beta 131.36
_cell_angle_gamma 71.24
_space_group_name_H-M_alt 'P 1'
_space_group_IT_number 1
loop_
_space_group_symop_operation_xyz
'x,y,z'
loop_
_atom_site_label
_atom_site_fract_x
_atom_site_fract_y
_atom_site_fract_z
Mg1 0.000 0.000 0.000
Ni1 0.500 0.500 0.000
Ni2 0.750 0.250 0.500
Ni3 0.250 0.750 0.500
```

Computed properties:
**Spin magnetization**: 0.93 μB per formula unit
**Crystal system**: tetragonal
**Energy of formation**: -0.0495 eV/atom

---

No. 8
A plane-wave DFT calculation with PBE was carried out for an optimized crystal structure of MgNi.

CIF file:
```
data_MgNi
_cell_length_a 3.101
_cell_length_b 4.258
_cell_length_c 4.273
_cell_angle_alpha 90.00
_cell_angle_beta 90.00
_cell_angle_gamma 90.00
_space_group_name_H-M_alt 'P 1'
_space_group_IT_number 1
loop_
_space_group_symop_operation_xyz
'x,y,z'
loop_
_atom_site_label
_atom_site_fract_x
_atom_site_fract_y
_atom_site_fract_z
Mg1 0.000 0.245 0.250
Mg2 0.000 0.755 0.750
Ni1 0.500 0.257 0.750
Ni2 0.500 0.743 0.250
```

Computed properties:
**Spin magnetization**: 0.01 μB per formula unit
**Crystal system**: orthorhombic
**Energy of formation**: -0.1482 eV/atom

---

The records above yield energy values of -14.54; -12.10; -10.27; -22.97; -13.29; -18.99; -19.14; -15.35 eV for the cell shown, respectively.